No. 1
## MgTi6H4O14 (GGA-PBE)

Data for a relaxed structure of MgTi6H4O14.

Output
* ΔE to the lowest computed polymorph: 0.1 kJ/mol of atoms
* total energy: -7.730 eV per atom

Geometry as POSCAR:
```
MgTi6H4O14
1.0
3.889 0.000 0.000
0.414 7.783 0.000
0.128 2.140 9.074
Mg Ti H O
1 6 4 14
Direct
0.000 0.000 0.000 Mg
0.039 0.556 0.211 Ti
0.057 0.423 0.911 Ti
0.078 0.330 0.599 Ti
0.502 0.834 0.258 Ti
0.528 0.736 0.944 Ti
0.544 0.608 0.645 Ti
0.306 0.191 0.229 H
0.312 0.088 0.400 H
0.371 0.935 0.673 H
0.920 0.023 0.578 H
0.006 0.829 0.222 O
0.029 0.719 0.962 O
0.049 0.559 0.683 O
0.055 0.224 0.851 O
0.060 0.438 0.400 O
0.074 0.361 0.113 O
0.134 0.084 0.573 O
0.419 0.088 0.301 O
0.506 0.949 0.021 O
0.522 0.734 0.457 O
0.522 0.831 0.731 O
0.534 0.610 0.174 O
0.553 0.497 0.888 O
0.571 0.353 0.623 O
```


No. 2
## H (GGA-PBE)

Data for a relaxed structure of H.

Output
* ΔE to the lowest computed polymorph: 3.4 kJ/mol of atoms
* total energy: -3.357 eV per atom

Geometry as POSCAR:
```
H
1.0
4.955 0.000 0.000
0.000 5.477 0.000
0.000 0.000 4.697
H
16
Direct
0.016 0.250 0.043 H
0.029 0.544 0.447 H
0.029 0.956 0.447 H
0.123 0.750 0.016 H
0.377 0.250 0.516 H
0.471 0.044 0.947 H
0.471 0.456 0.947 H
0.484 0.750 0.543 H
0.516 0.250 0.457 H
0.529 0.544 0.053 H
0.529 0.956 0.053 H
0.623 0.750 0.484 H
0.877 0.250 0.984 H
0.971 0.044 0.553 H
0.971 0.456 0.553 H
0.984 0.750 0.957 H
```


No. 3
## CuReO4 (GGA-PBE)

Data for a relaxed structure of CuReO4.

Output
* total energy: -7.311 eV per atom

Geometry as POSCAR:
```
CuReO4
1.0
4.783 0.000 0.000
-0.188 4.935 0.000
-0.472 -0.026 5.852
Cu Re O
2 2 8
Direct
0.008 0.252 0.166 Cu
0.992 0.748 0.834 Cu
0.484 0.247 0.675 Re
0.516 0.753 0.325 Re
0.238 0.610 0.128 O
0.250 0.092 0.861 O
0.286 0.552 0.600 O
0.291 0.064 0.386 O
0.709 0.936 0.614 O
0.714 0.448 0.400 O
0.750 0.908 0.139 O
0.762 0.390 0.872 O
```


Number 1: ΔH_f (0 K) -2842 meV/atom. Number 2: ΔH_f (0 K) 35 meV/atom. Number 3: ΔH_f (0 K) -1713 meV/atom.